(1)
Entry from the Materials Project database: MnSeO3 after structural relaxation (GGA+U).

Structure (extended XYZ):
```
40
Lattice="5.361 0.000 0.000 0.000 8.435 0.000 -2.196 0.000 13.848" Properties=species:S:1:pos:R:3 pbc="T T T"
Mn -0.401 1.918 3.473
Mn -1.499 2.299 10.397
Mn 0.911 0.679 8.322
Mn 2.009 3.539 1.399
Mn 1.156 4.897 12.449
Mn 2.254 7.757 5.525
Mn 4.664 6.136 3.451
Mn 3.566 6.517 10.374
Se -0.384 6.046 6.990
Se 0.713 6.607 0.066
Se 1.905 4.494 4.342
Se 0.808 8.159 11.266
Se 2.358 0.276 2.582
Se 1.260 3.942 9.506
Se 2.452 1.829 13.782
Se 3.550 2.389 6.858
O -1.907 2.034 12.430
O -0.809 2.184 5.507
O 0.409 2.061 1.250
O -0.688 2.156 8.174
O -0.420 0.402 10.251
O 0.678 3.816 3.327
O 1.680 5.144 0.039
O 0.582 7.509 6.963
O 1.177 0.497 3.826
O 0.080 3.721 10.750
O 1.208 6.077 4.480
O 0.110 6.576 11.403
O 3.056 1.859 2.444
O 1.958 2.358 9.368
O 3.086 4.715 3.098
O 1.988 7.938 10.021
O 2.584 0.927 6.885
O 1.486 3.291 13.809
O 2.488 4.620 10.521
O 3.585 8.033 3.597
O 3.854 6.279 5.674
O 2.756 6.374 12.598
O 3.975 6.252 8.341
O 5.072 6.401 1.417
```

The value obtained for the energy with MP2020 corrections is -7.150 eV/atom. As for the energy of formation from the pure elements: -1.65 eV per atom.

(2)
Entry from the Materials Project database: Cr2HgN2Cl2O7 after structural relaxation (GGA+U).

Structure (extended XYZ):
```
56
Lattice="10.275 0.000 0.000 0.000 8.114 0.000 -1.834 0.000 15.579" Properties=species:S:1:pos:R:3 pbc="T T T"
Cr 0.026 1.527 1.883
Cr -0.891 2.531 9.673
Cr 2.865 1.006 0.408
Cr 1.948 3.052 8.198
Cr 6.494 5.063 7.381
Cr 5.577 7.109 15.171
Cr 9.333 5.584 5.906
Cr 8.416 6.588 13.696
Hg 1.761 4.973 14.620
Hg 2.677 7.198 6.830
Hg 5.764 0.916 8.749
Hg 6.681 3.141 0.959
N 0.111 5.594 2.133
N -0.806 6.577 9.923
N 2.457 0.833 12.324
N 3.374 3.225 4.535
N 5.068 4.890 11.045
N 5.985 7.282 3.255
N 9.248 1.537 5.657
N 8.331 2.520 13.446
Cl 1.678 4.902 12.310
Cl 2.595 7.269 4.520
Cl 3.817 5.061 1.355
Cl 2.900 7.111 9.145
Cl 5.542 1.003 6.435
Cl 4.625 3.054 14.224
Cl 5.846 0.845 11.059
Cl 6.763 3.212 3.270
O -1.082 5.557 14.720
O -0.165 6.614 6.930
O 0.192 4.622 5.228
O -0.724 7.549 13.017
O -0.188 1.647 10.843
O 0.729 2.410 3.053
O 1.257 0.553 1.029
O 0.340 3.504 8.819
O 1.821 1.788 7.164
O 0.904 2.269 14.954
O 2.627 4.320 7.390
O 1.710 7.851 15.179
O 3.854 1.447 1.622
O 2.937 2.610 9.412
O 5.505 5.504 6.167
O 4.588 6.668 13.957
O 6.732 0.263 0.400
O 5.815 3.794 8.190
O 7.537 5.845 0.626
O 6.621 6.326 8.415
O 8.102 4.610 6.761
O 7.185 7.561 14.550
O 7.713 5.705 12.526
O 8.629 6.467 4.737
O 9.166 0.565 2.562
O 8.249 3.492 10.352
O 8.607 1.500 8.649
O 9.523 2.557 0.860
```

The value obtained for the energy with MP2020 corrections is -5.386 eV/atom. The total moment is 7.554 μB/cell. As for the energy of formation from the pure elements: -0.06 eV per atom.

(3)
Entry from the Materials Project database: Li2Mn3FeO8 after structural relaxation (GGA+U).

Structure (extended XYZ):
```
28
Lattice="5.792 0.000 0.000 0.000 9.503 0.000 -2.808 0.000 5.169" Properties=species:S:1:pos:R:3 pbc="T T T"
Li -1.384 0.000 2.560
Li 1.445 3.723 0.859
Li 1.539 8.475 4.311
Li 4.368 4.752 2.609
Mn 0.047 6.798 1.697
Mn -1.365 6.839 4.340
Mn 0.096 2.044 3.460
Mn 2.889 6.795 1.709
Mn 4.349 2.087 0.830
Mn 2.937 2.047 3.472
Fe 1.484 9.456 0.901
Fe 1.501 4.704 4.268
O -1.388 2.986 2.718
O 0.170 7.951 0.131
O -1.379 0.965 4.245
O 0.037 1.006 1.792
O -0.002 5.777 3.393
O 1.462 5.737 0.986
O 1.469 7.937 2.390
O 2.778 7.969 0.177
O 0.206 3.217 4.992
O 1.515 3.186 2.779
O 1.522 0.986 4.184
O 2.986 1.025 1.777
O 2.947 5.758 3.377
O 4.363 5.717 0.925
O 2.814 3.199 5.038
O 4.372 7.738 2.451
```

The value obtained for the energy with MP2020 corrections is -7.646 eV/atom. The value obtained for the energy relative to the lowest polymorph listed for this composition is 2.54 kJ per mole of atoms. The total moment is 2.001 μB/cell. As for the energy of formation from the pure elements: -1.98 eV per atom.

(4)
Entry from the Materials Project database: Li4V3OF11 after structural relaxation (GGA+U).

Structure (extended XYZ):
```
19
Lattice="5.600 0.000 0.000 -0.816 6.149 0.000 -1.229 -1.640 6.089" Properties=species:S:1:pos:R:3 pbc="T T T"
Li 0.000 0.000 0.000
Li 0.191 0.507 4.363
Li 1.009 3.545 4.900
Li 2.753 1.367 5.456
V 1.065 2.853 1.369
V 2.883 0.054 2.166
V 3.905 3.787 3.009
O 2.011 4.305 2.335
F -1.231 0.496 5.831
F -0.581 4.103 1.270
F -0.019 2.497 3.120
F -0.639 4.456 4.626
F 1.132 0.759 1.401
F 0.893 1.778 5.855
F 2.102 0.403 3.917
F 3.684 0.047 0.380
F 3.137 2.117 1.995
F 2.885 3.098 4.588
F 4.694 -0.302 2.971
```

The value obtained for the energy with MP2020 corrections is -6.321 eV/atom. The value obtained for the energy relative to the lowest polymorph listed for this composition is 0.92 kJ per mole of atoms. The total moment is 5.998 μB/cell. As for the energy of formation from the pure elements: -3.12 eV per atom.

(5)
Entry from the Materials Project database: NaSrNdFeO6 after structural relaxation (GGA+U).

Structure (extended XYZ):
```
10
Lattice="0.000 4.143 4.143 4.143 0.000 4.143 4.143 4.143 0.000" Properties=species:S:1:pos:R:3 pbc="T T T"
Na 0.000 0.000 0.000
Sr 4.143 4.143 4.143
Nd 2.071 2.071 2.071
Fe 6.214 6.214 6.214
O 6.214 6.214 4.354
O 6.214 4.354 6.214
O 8.075 6.214 6.214
O 4.354 6.214 6.214
O 6.214 8.075 6.214
O 6.214 6.214 8.075
```

The value obtained for the energy with MP2020 corrections is -6.756 eV/atom. The total moment is 4.000 μB/cell. As for the energy of formation from the pure elements: -2.16 eV per atom.

(6)
Entry from the Materials Project database: Ho2MgAg2W4O16 after structural relaxation (GGA+U).

Structure (extended XYZ):
```
25
Lattice="5.230 -5.616 0.000 5.230 5.616 0.000 -4.930 0.000 5.729" Properties=species:S:1:pos:R:3 pbc="T T T"
Ho 5.230 2.985 0.000
Ho 5.230 -2.985 0.000
Mg 0.443 0.000 2.266
Ag -1.998 0.000 3.127
Ag 5.855 0.000 2.660
W 2.754 0.000 0.186
W 2.839 1.822 2.958
W 2.839 -1.822 2.958
W 2.756 0.000 5.677
O -3.725 0.000 4.863
O 1.587 1.430 1.446
O -1.070 1.394 5.167
O 1.633 2.878 3.807
O 4.019 2.853 2.051
O 1.587 -1.430 1.446
O -1.070 -1.394 5.167
O 1.817 0.000 3.774
O 3.662 0.000 2.047
O 6.603 1.385 0.650
O 3.912 1.391 4.498
O 1.633 -2.878 3.807
O 4.019 -2.853 2.051
O 6.603 -1.385 0.650
O 3.912 -1.391 4.498
O 9.330 0.000 1.103
```

The value obtained for the energy with MP2020 corrections is -8.194 eV/atom. The value obtained for the energy relative to the lowest polymorph listed for this composition is 6.34 kJ per mole of atoms. The total moment is 0.002 μB/cell. As for the energy of formation from the pure elements: -2.30 eV per atom.

(7)
Entry from the Materials Project database: MgNiHO2 after structural relaxation (GGA+U).

Structure (extended XYZ):
```
5
Lattice="3.055 0.000 0.000 -1.527 2.646 0.000 0.000 0.000 6.934" Properties=species:S:1:pos:R:3 pbc="T T T"
Mg 0.000 0.000 0.000
Ni 0.000 0.000 2.544
H 0.000 1.764 4.467
O 0.000 1.764 3.479
O 1.527 0.882 1.140
```

The value obtained for the energy with MP2020 corrections is -5.377 eV/atom. The value obtained for the energy relative to the lowest polymorph listed for this composition is 18.67 kJ per mole of atoms. The total moment is 1.926 μB/cell. As for the energy of formation from the pure elements: -1.24 eV per atom.

(8)
Entry from the Materials Project database: Sm2MgMo2I8O30 after structural relaxation (GGA+U).

Structure (extended XYZ):
```
43
Lattice="6.982 0.000 0.000 3.022 6.526 0.000 0.505 0.015 14.342" Properties=species:S:1:pos:R:3 pbc="T T T"
Sm 0.000 0.000 0.000
Sm 1.695 0.996 7.080
Mg 5.087 1.309 8.621
Mo 4.528 2.388 2.277
Mo 7.264 5.222 9.567
I 3.707 4.200 9.109
I 4.949 5.745 3.556
I 4.001 2.885 12.770
I 4.972 2.314 5.677
I 7.174 5.369 13.056
I 8.173 4.661 5.588
I 7.144 1.945 10.964
I 8.069 3.397 1.727
O 1.826 2.945 5.761
O 1.197 1.076 12.163
O 3.859 6.343 2.237
O 3.456 4.630 12.758
O 4.131 6.439 5.036
O 3.815 5.335 7.682
O 3.594 3.305 1.017
O 3.593 2.600 8.176
O 4.177 4.033 3.716
O 3.906 2.546 10.948
O 3.179 1.536 3.053
O 5.880 6.154 14.046
O 6.430 6.430 8.502
O 3.831 0.869 5.936
O 6.392 5.709 11.358
O 5.576 3.904 9.288
O 5.825 3.135 12.885
O 6.365 4.372 5.779
O 6.253 3.694 2.068
O 5.351 0.243 13.001
O 5.382 1.160 1.344
O 5.763 1.783 4.125
O 6.189 1.585 6.936
O 8.626 6.371 9.943
O 8.237 4.920 3.801
O 7.969 3.621 10.982
O 8.238 4.960 0.786
O 8.226 4.212 8.425
O 7.778 1.392 9.317
O 7.872 2.241 0.319
```

The value obtained for the energy with MP2020 corrections is -5.984 eV/atom. The value obtained for the energy relative to the lowest polymorph listed for this composition is 3.11 kJ per mole of atoms. The total moment is 0.000 μB/cell. As for the energy of formation from the pure elements: -1.49 eV per atom.

> Which value of energy with MP2020 corrections does entry 1 give?

-7.150 eV/atom

Repeat the second record exactly.
Entry from the Materials Project database: Cr2HgN2Cl2O7 after structural relaxation (GGA+U).

Structure (extended XYZ):
```
56
Lattice="10.275 0.000 0.000 0.000 8.114 0.000 -1.834 0.000 15.579" Properties=species:S:1:pos:R:3 pbc="T T T"
Cr 0.026 1.527 1.883
Cr -0.891 2.531 9.673
Cr 2.865 1.006 0.408
Cr 1.948 3.052 8.198
Cr 6.494 5.063 7.381
Cr 5.577 7.109 15.171
Cr 9.333 5.584 5.906
Cr 8.416 6.588 13.696
Hg 1.761 4.973 14.620
Hg 2.677 7.198 6.830
Hg 5.764 0.916 8.749
Hg 6.681 3.141 0.959
N 0.111 5.594 2.133
N -0.806 6.577 9.923
N 2.457 0.833 12.324
N 3.374 3.225 4.535
N 5.068 4.890 11.045
N 5.985 7.282 3.255
N 9.248 1.537 5.657
N 8.331 2.520 13.446
Cl 1.678 4.902 12.310
Cl 2.595 7.269 4.520
Cl 3.817 5.061 1.355
Cl 2.900 7.111 9.145
Cl 5.542 1.003 6.435
Cl 4.625 3.054 14.224
Cl 5.846 0.845 11.059
Cl 6.763 3.212 3.270
O -1.082 5.557 14.720
O -0.165 6.614 6.930
O 0.192 4.622 5.228
O -0.724 7.549 13.017
O -0.188 1.647 10.843
O 0.729 2.410 3.053
O 1.257 0.553 1.029
O 0.340 3.504 8.819
O 1.821 1.788 7.164
O 0.904 2.269 14.954
O 2.627 4.320 7.390
O 1.710 7.851 15.179
O 3.854 1.447 1.622
O 2.937 2.610 9.412
O 5.505 5.504 6.167
O 4.588 6.668 13.957
O 6.732 0.263 0.400
O 5.815 3.794 8.190
O 7.537 5.845 0.626
O 6.621 6.326 8.415
O 8.102 4.610 6.761
O 7.185 7.561 14.550
O 7.713 5.705 12.526
O 8.629 6.467 4.737
O 9.166 0.565 2.562
O 8.249 3.492 10.352
O 8.607 1.500 8.649
O 9.523 2.557 0.860
```

The value obtained for the energy with MP2020 corrections is -5.386 eV/atom. The total moment is 7.554 μB/cell. As for the energy of formation from the pure elements: -0.06 eV per atom.

> Look up the energy of formation from the pure elements of the sixth one.

-2.30 eV per atom